[1]
Density functional theory data (PBE+U) for BaMnV2Ag2O8 after structural relaxation.

## Properties
Calculated formation energy, eV per atom: -2.12
V, Å³ per cell: 411
Total magnetization, μB per cell: 9.982

a = 5.6347 Å, b = 14.9452 Å, c = 5.6347 Å
α = 90.00°, β = 120.00°, γ = 90.00°
Last column: nearest neighbours and their distance in Å.
Element x y z (fractional)
O  0.2528  0.1591  0.9181  1 V 1.77
O  0.3347  0.3409  0.2528  1 V 1.77
O  0.9181  0.8409  0.6653  1 V 1.77
O  0.3333  0.0097  0.6667  1 V 1.71
O  0.0819  0.1591  0.3347  1 V 1.77
O  0.9181  0.3409  0.6653  1 V 1.77
O  0.7472  0.3409  0.0819  1 V 1.77
O  0.0819  0.6591  0.3347  1 V 1.77
O  0.6667  0.9903  0.3333  1 V 1.71
O  0.7472  0.8409  0.0819  1 V 1.77
O  0.6653  0.6591  0.7472  1 V 1.77
O  0.3333  0.5097  0.6667  1 V 1.71
O  0.3347  0.8409  0.2528  1 V 1.77
O  0.6653  0.1591  0.7472  1 V 1.77
O  0.6667  0.4903  0.3333  1 V 1.71
O  0.2528  0.6591  0.9181  1 V 1.77
Mn  0.0000  0.2500  0.0000  6 O 2.18
Mn  0.0000  0.7500  0.0000  6 O 2.18
V  0.3333  0.1241  0.6667  4 O 1.71-1.77
V  0.6667  0.8759  0.3333  4 O 1.71-1.77
V  0.6667  0.3759  0.3333  4 O 1.71-1.77
V  0.3333  0.6241  0.6667  4 O 1.71-1.77
Ag  0.3333  0.3455  0.6667  4 O 2.34-2.45
Ag  0.6667  0.1545  0.3333  4 O 2.34-2.45
Ag  0.6667  0.6545  0.3333  4 O 2.34-2.45
Ag  0.3333  0.8455  0.6667  4 O 2.34-2.45
Ba  0.0000  0.5000  0.0000  12 O 2.93-3.26
Ba  0.0000  0.0000  0.0000  12 O 2.93-3.26

[2]
Density functional theory data (PBE+U) for Rb2Mo2O5 after structural relaxation.

## Properties
Calculated formation energy, eV per atom: -1.72
Space-group type: No. 46
V, Å³ per cell: 295
Total magnetization, μB per cell: 8.001

a = 9.1913 Å, b = 9.1913 Å, c = 9.1913 Å
α = 142.03°, β = 141.57°, γ = 55.13°
Last column: nearest neighbours and their distance in Å.
Element x y z (fractional)
Rb  0.3713  0.8879  0.4826  7 O 2.70-2.95
Rb  0.9053  0.3879  0.5166  7 O 2.70-2.95
Rb  0.0947  0.6113  0.4826  7 O 2.70-2.95
Rb  0.6287  0.1113  0.5166  7 O 2.70-2.95
O  0.6622  0.6471  0.0360  1 Mo 1.95
O  0.8890  0.8738  0.0360  1 Mo 1.95
O  0.5799  0.4110  0.4909  2 Mo 1.89-2.01
O  0.4201  0.9110  0.8311  2 Mo 1.89-2.01
O  0.7428  0.7484  0.5032  2 Mo 2.08-2.18
O  0.1110  0.1471  0.9849  1 Mo 1.95
O  0.7452  0.2484  0.0056  2 Mo 2.08-2.18
O  0.2572  0.7604  0.0056  2 Mo 2.08-2.18
O  0.2548  0.2604  0.5032  2 Mo 2.08-2.18
O  0.3378  0.3738  0.9849  1 Mo 1.95
Mo  0.0000  0.0162  0.0162  6 O 2.08-2.23
Mo  0.3153  0.2079  0.0233  4 O 1.89-2.01
Mo  0.6847  0.7079  0.8926  4 O 1.89-2.01
Mo  0.5000  0.5162  0.0162  6 O 2.08-2.23

[3]
Density functional theory data (PBE+U) for ThMo2O8 after structural relaxation.

## Properties
Calculated formation energy, eV per atom: -2.65
Space-group type: No. 61
V, Å³ per cell: 1572

a = 10.1361 Å, b = 10.4104 Å, c = 14.8979 Å
α = 90.00°, β = 90.00°, γ = 90.00°
Last column: nearest neighbours and their distance in Å.
Element x y z (fractional)
Th  0.2191  0.4683  0.3914  8 O 2.37-2.47
Th  0.7191  0.0317  0.3914  8 O 2.37-2.47
Th  0.7809  0.5317  0.6086  8 O 2.37-2.47
Th  0.2809  0.4683  0.8914  8 O 2.37-2.47
Th  0.2191  0.9683  0.1086  8 O 2.37-2.47
Th  0.7191  0.5317  0.1086  8 O 2.37-2.47
Th  0.7809  0.0317  0.8914  8 O 2.37-2.47
Th  0.2809  0.9683  0.6086  8 O 2.37-2.47
Mo  0.8341  0.8926  0.1564  4 O 1.79-1.80
Mo  0.1659  0.1074  0.8436  4 O 1.79-1.80
Mo  0.9983  0.7204  0.9445  4 O 1.79-1.81
Mo  0.4983  0.2796  0.5555  4 O 1.79-1.81
Mo  0.0017  0.2796  0.0555  4 O 1.79-1.81
Mo  0.0017  0.7796  0.4445  4 O 1.79-1.81
Mo  0.8341  0.3926  0.3436  4 O 1.79-1.80
Mo  0.6659  0.3926  0.8436  4 O 1.79-1.80
Mo  0.9983  0.2204  0.5555  4 O 1.79-1.81
Mo  0.5017  0.2204  0.0555  4 O 1.79-1.81
Mo  0.3341  0.1074  0.3436  4 O 1.79-1.80
Mo  0.3341  0.6074  0.1564  4 O 1.79-1.80
Mo  0.5017  0.7204  0.4445  4 O 1.79-1.81
Mo  0.1659  0.6074  0.6564  4 O 1.79-1.80
Mo  0.6659  0.8926  0.6564  4 O 1.79-1.80
Mo  0.4983  0.7796  0.9445  4 O 1.79-1.81
O  0.8998  0.3859  0.1220  1 Mo 1.81
O  0.0078  0.9146  0.1720  1 Mo 1.79
O  0.4922  0.4146  0.8280  1 Mo 1.79
O  0.1059  0.3738  0.9844  1 Mo 1.79
O  0.2956  0.5644  0.0426  1 Mo 1.80
O  0.1059  0.8738  0.5156  1 Mo 1.79
O  0.3998  0.6141  0.3780  1 Mo 1.81
O  0.1002  0.6141  0.8780  1 Mo 1.81
O  0.4013  0.6719  0.8773  1 Mo 1.80
O  0.2880  0.7723  0.1742  1 Mo 1.80
O  0.3941  0.8738  0.0156  1 Mo 1.79
O  0.2449  0.0077  0.2664  1 Mo 1.79
O  0.8958  0.1830  0.9871  1 Mo 1.79
O  0.2956  0.0644  0.4574  1 Mo 1.80
O  0.7449  0.9923  0.2336  1 Mo 1.79
O  0.8998  0.8859  0.3780  1 Mo 1.81
O  0.2449  0.5077  0.2336  1 Mo 1.79
O  0.2044  0.0644  0.9574  1 Mo 1.80
O  0.2880  0.2723  0.3258  1 Mo 1.80
O  0.7551  0.4923  0.7664  1 Mo 1.79
O  0.6059  0.6262  0.5156  1 Mo 1.79
O  0.9013  0.8281  0.8773  1 Mo 1.80
O  0.8941  0.6262  0.0156  1 Mo 1.79
O  0.9013  0.3281  0.6227  1 Mo 1.80
O  0.2551  0.5077  0.7336  1 Mo 1.79
O  0.8941  0.1262  0.4844  1 Mo 1.79
O  0.3941  0.3738  0.4844  1 Mo 1.79
O  0.9922  0.5854  0.6720  1 Mo 1.79
O  0.5078  0.0854  0.3280  1 Mo 1.79
O  0.6042  0.1830  0.4871  1 Mo 1.79
O  0.2120  0.2723  0.8258  1 Mo 1.80
O  0.8958  0.6830  0.5129  1 Mo 1.79
O  0.3958  0.3170  0.9871  1 Mo 1.79
O  0.7449  0.4923  0.2664  1 Mo 1.79
O  0.7956  0.4356  0.4574  1 Mo 1.80
O  0.6042  0.6830  0.0129  1 Mo 1.79
O  0.7044  0.9356  0.5426  1 Mo 1.80
O  0.0987  0.6719  0.3773  1 Mo 1.80
O  0.4922  0.9146  0.6720  1 Mo 1.79
O  0.2551  0.0077  0.7664  1 Mo 1.79
O  0.7551  0.9923  0.7336  1 Mo 1.79
O  0.5078  0.5854  0.1720  1 Mo 1.79
O  0.5987  0.3281  0.1227  1 Mo 1.80
O  0.7120  0.2277  0.8258  1 Mo 1.80
O  0.0987  0.1719  0.1227  1 Mo 1.80
O  0.5987  0.8281  0.3773  1 Mo 1.80
O  0.7956  0.9356  0.0426  1 Mo 1.80
O  0.3958  0.8170  0.5129  1 Mo 1.79
O  0.4013  0.1719  0.6227  1 Mo 1.80
O  0.0078  0.4146  0.3280  1 Mo 1.79
O  0.7044  0.4356  0.9574  1 Mo 1.80
O  0.6002  0.8859  0.8780  1 Mo 1.81
O  0.7880  0.2277  0.3258  1 Mo 1.80
O  0.2044  0.5644  0.5426  1 Mo 1.80
O  0.1002  0.1141  0.6220  1 Mo 1.81
O  0.6002  0.3859  0.6220  1 Mo 1.81
O  0.1042  0.8170  0.0129  1 Mo 1.79
O  0.7880  0.7277  0.1742  1 Mo 1.80
O  0.7120  0.7277  0.6742  1 Mo 1.80
O  0.9922  0.0854  0.8280  1 Mo 1.79
O  0.1042  0.3170  0.4871  1 Mo 1.79
O  0.6059  0.1262  0.9844  1 Mo 1.79
O  0.2120  0.7723  0.6742  1 Mo 1.80
O  0.3998  0.1141  0.1220  1 Mo 1.81

[4]
Density functional theory data (PBE+U) for Li10Mn3Cr2Ni3O16 after structural relaxation.

## Properties
Calculated formation energy, eV per atom: -1.97
Space-group type: No. 8
V, Å³ per cell: 300
Total magnetization, μB per cell: 23.001

a = 5.9645 Å, b = 5.9645 Å, c = 9.7805 Å
α = 89.38°, β = 89.38°, γ = 59.67°
Last column: nearest neighbours and their distance in Å.
Element x y z (fractional)
O  0.5082  0.5082  0.6387  3 Li 1.96-2.17, 1 Cr 2.06, 2 Mn 2.17
O  0.4886  0.0257  0.1568  3 Li 1.97-2.14, 1 Mn 1.99, 1 Cr 2.07, 1 Ni 2.11
O  0.5073  0.9798  0.6547  3 Li 1.94-2.14, 1 Mn 2.03, 1 Cr 2.04, 1 Ni 2.08
O  0.4955  0.4955  0.1524  3 Li 1.90-2.09, 1 Cr 2.04, 2 Ni 2.07
O  0.0207  0.0207  0.1717  1 Li 1.88, 1 Mn 1.97, 2 Ni 2.08
O  0.1743  0.1743  0.9115  1 Li 1.90, 1 Cr 2.06
O  0.8585  0.3412  0.3976  2 Li 1.88-2.10, 1 Mn 2.01
O  0.3412  0.8585  0.3976  2 Li 1.88-2.10, 1 Mn 2.01
O  0.0257  0.4886  0.1568  3 Li 1.97-2.14, 1 Mn 1.99, 1 Cr 2.07, 1 Ni 2.11
O  0.8442  0.8442  0.4150  1 Li 1.83, 1 Cr 2.02
O  0.6591  0.6591  0.8913  2 Mn 1.98, 3 Li 2.06-2.17, 1 Ni 2.11
O  0.9798  0.5073  0.6547  3 Li 1.94-2.14, 1 Mn 2.03, 1 Cr 2.04, 1 Ni 2.08
O  0.0139  0.0139  0.6755  1 Li 1.92, 2 Mn 1.97, 1 Ni 2.11
O  0.3313  0.3313  0.3949  1 Mn 1.94, 3 Li 2.01-2.02, 2 Ni 2.08
O  0.6713  0.1714  0.9038  1 Li 1.87, 1 Cr 2.07, 1 Mn 2.08
O  0.1714  0.6713  0.9038  1 Li 1.87, 1 Cr 2.07, 1 Mn 2.08
Mn  0.3400  0.8321  0.7804  6 O 1.97-2.19
Mn  0.8321  0.3400  0.7804  6 O 1.97-2.19
Mn  0.1801  0.1801  0.2800  6 O 1.94-2.01
Ni  0.1737  0.6726  0.2801  6 O 2.07-2.17
Ni  0.8341  0.8341  0.7786  6 O 2.08-2.13
Ni  0.6726  0.1737  0.2801  6 O 2.07-2.17
Cr  0.6757  0.6757  0.5220  6 O 2.02-2.12
Cr  0.3410  0.3410  0.0253  6 O 2.04-2.07
Li  0.6647  0.6647  0.2666  5 O 2.09-2.14
Li  0.8143  0.3780  0.0567  2 O 1.90-1.97, 1 Li 2.08
Li  0.3780  0.8143  0.0567  2 O 1.90-1.97, 1 Li 2.08
Li  0.0095  0.0095  0.4789  4 O 1.83-1.92
Li  0.1995  0.1995  0.5484  3 O 1.94-2.02, 1 Li 2.09
Li  0.6072  0.1870  0.5397  4 O 1.96-2.18, 1 Li 2.16
Li  0.3352  0.3352  0.7664  6 O 2.14-2.20
Li  0.0021  0.0021  0.9806  4 O 1.87-1.90, 2 Li 2.08
Li  0.7982  0.7982  0.0408  3 O 2.00-2.06, 1 Li 2.18
Li  0.1870  0.6072  0.5397  4 O 1.96-2.18, 1 Li 2.16

[5]
Density functional theory data (PBE+U) for TiFeO4 after structural relaxation.

## Properties
Calculated formation energy, eV per atom: -2.34
Energy above the most stable polymorph in this dataset, meV per atom: 14
Space-group type: No. 31
V, Å³ per cell: 280
Total magnetization, μB per cell: 2.127

a = 3.8220 Å, b = 9.6520 Å, c = 7.5923 Å
α = 90.00°, β = 90.00°, γ = 90.00°
Last column: nearest neighbours and their distance in Å.
Element x y z (fractional)
O  0.5000  0.2880  0.7525  2 Ti 1.95, 1 Fe 1.95
O  0.0000  0.7880  0.9975  2 Ti 1.95, 1 Fe 1.95
O  0.0000  0.8040  0.5008  1 Fe 1.97, 2 Ti 1.97
O  0.5000  0.3041  0.2492  1 Fe 1.97, 2 Ti 1.97
O  0.5000  0.9517  0.0015  2 Fe 1.95, 1 Ti 1.98
O  0.5000  0.7074  0.2511  1 Fe 1.93, 2 Ti 1.97-1.98
O  0.0000  0.4517  0.7485  2 Fe 1.95, 1 Ti 1.98
O  0.0000  0.2074  0.4988  1 Fe 1.93, 2 Ti 1.97-1.98
O  0.5000  0.7008  0.7474  2 Ti 1.92-1.93, 1 Fe 2.03
O  0.0000  0.0460  0.2582  2 Fe 1.86-2.03, 1 Ti 2.02
O  0.0000  0.2009  0.0026  2 Ti 1.92-1.93, 1 Fe 2.03
O  0.0000  0.4600  0.2517  2 Fe 1.97, 1 Ti 1.98
O  0.5000  0.5419  0.0083  2 Fe 1.87-2.03, 1 Ti 1.98
O  0.0000  0.0419  0.7416  2 Fe 1.87-2.03, 1 Ti 1.98
O  0.5000  0.5460  0.4918  2 Fe 1.86-2.03, 1 Ti 2.02
O  0.5000  0.9600  0.4983  2 Fe 1.97, 1 Ti 1.98
Fe  0.5000  0.5079  0.2514  6 O 1.86-1.97
Fe  0.5000  0.4903  0.7490  6 O 1.95-2.03
Fe  0.0000  0.9903  0.0011  6 O 1.95-2.03
Fe  0.0000  0.0079  0.4986  6 O 1.86-1.97
Ti  0.5000  0.7469  0.9952  6 O 1.93-1.98
Ti  0.0000  0.2469  0.7547  6 O 1.93-1.98
Ti  0.5000  0.7550  0.5037  6 O 1.92-2.02
Ti  0.0000  0.2550  0.2464  6 O 1.92-2.02

[6]
Density functional theory data (PBE+U) for MgFe4Cu2O8 after structural relaxation.

## Properties
Calculated formation energy, eV per atom: -1.47
Energy above the most stable polymorph in this dataset, meV per atom: 26
Space-group type: No. 5
V, Å³ per cell: 174
Total magnetization, μB per cell: 0.000

a = 6.2309 Å, b = 6.2305 Å, c = 6.1989 Å
α = 119.76°, β = 119.77°, γ = 87.97°
Last column: nearest neighbours and their distance in Å.
Element x y z (fractional)
O  0.1427  0.4504  0.2968  1 Mg 1.93, 2 Fe 2.03-2.04
O  0.1123  0.8882  0.2899  1 Cu 1.80, 2 Fe 1.99
O  0.5824  0.8264  0.2040  3 Fe 1.94-2.06
O  0.6282  0.3722  0.7962  1 Cu 1.88
O  0.1736  0.4176  0.7960  3 Fe 1.94-2.06
O  0.5496  0.8573  0.7032  1 Mg 1.93, 2 Fe 2.03-2.04
O  0.1120  0.8875  0.7101  1 Cu 1.80, 2 Fe 1.99
O  0.6278  0.3718  0.2038  1 Cu 1.88
Fe  0.8661  0.6727  0.2694  4 O 1.94-2.17
Fe  0.3273  0.1339  0.7307  4 O 1.94-2.17
Fe  0.3806  0.6194  0.7452  5 O 2.03-2.16
Fe  0.3807  0.6193  0.2548  5 O 2.03-2.16
Cu  0.1241  0.8758  0.0000  2 O 1.80
Cu  0.6776  0.3226  0.5001  2 O 1.88
Mg  0.8358  0.1642  0.9999  2 O 1.93

Among the records above, which one has the lowest V? MgFe4Cu2O8

Among the records above, which one has the lowest calculated formation energy? ThMo2O8

Which of these has the highest calculated formation energy? MgFe4Cu2O8